# 1
A plane-wave DFT calculation with r2SCAN was carried out for a relaxed USi3Ir crystal.

Unit cell a=5.729 b=5.729 c=5.729 alpha=137.30 beta=137.30 gamma=61.98
Fractional coordinates of all 5 atoms:
Si: 0.766 0.266 0.500
U: 0.999 0.999 0.000
Si: 0.413 0.413 0.000
Si: 0.266 0.766 0.500
Ir: 0.652 0.652 0.000


# 2
A plane-wave DFT calculation with r2SCAN was carried out for a relaxed USi2Ir2 crystal.

Unit cell a=4.140 b=4.140 c=9.791 alpha=90.00 beta=90.00 gamma=90.00
Fractional coordinates of all 10 atoms:
U: 0.750 0.750 0.256
Ir: 0.250 0.750 0.000
Si: 0.250 0.750 0.500
Ir: 0.250 0.250 0.373
Si: 0.750 0.750 0.868
Si: 0.250 0.250 0.132
U: 0.250 0.250 0.744
Ir: 0.750 0.750 0.627
Ir: 0.750 0.250 0.000
Si: 0.750 0.250 0.500


# 3
A plane-wave DFT calculation with r2SCAN was carried out for a relaxed YSi3Ir crystal.

Unit cell a=5.714 b=5.714 c=5.714 alpha=137.14 beta=137.14 gamma=62.23
Fractional coordinates of all 5 atoms:
Si: 0.414 0.414 0.000
Si: 0.265 0.765 0.500
Si: 0.765 0.265 0.500
Y: 0.998 0.998 0.000
Ir: 0.652 0.652 0.000


# 4
A plane-wave DFT calculation with r2SCAN was carried out for a relaxed Y4Si5Ir9 crystal.

Unit cell a=5.529 b=5.529 c=22.505 alpha=90.00 beta=90.00 gamma=120.00
Fractional coordinates of all 36 atoms:
Si: 0.000 0.000 0.667
Si: 0.000 0.000 0.500
Si: 0.333 0.667 0.332
Y: 0.333 0.667 0.973
Si: 0.667 0.333 0.668
Ir: 0.666 0.833 0.087
Ir: 0.833 0.167 0.750
Si: 0.000 0.000 0.167
Ir: 0.833 0.666 0.750
Ir: 0.334 0.167 0.587
Ir: 0.833 0.666 0.913
Ir: 0.167 0.334 0.087
Ir: 0.833 0.167 0.913
Ir: 0.334 0.167 0.913
Ir: 0.167 0.833 0.250
Ir: 0.833 0.167 0.587
Si: 0.000 0.000 0.000
Si: 0.333 0.667 0.168
Ir: 0.167 0.833 0.087
Y: 0.667 0.333 0.174
Ir: 0.334 0.167 0.750
Y: 0.333 0.667 0.826
Si: 0.000 0.000 0.833
Ir: 0.167 0.334 0.250
Y: 0.667 0.333 0.473
Si: 0.667 0.333 0.832
Y: 0.333 0.667 0.674
Ir: 0.666 0.833 0.250
Si: 0.000 0.000 0.333
Ir: 0.167 0.833 0.413
Y: 0.333 0.667 0.527
Y: 0.667 0.333 0.027
Ir: 0.666 0.833 0.413
Y: 0.667 0.333 0.326
Ir: 0.833 0.666 0.587
Ir: 0.167 0.334 0.413


# 5
A plane-wave DFT calculation with r2SCAN was carried out for a relaxed ZrSiIr crystal.

Unit cell a=3.965 b=6.569 c=7.396 alpha=90.00 beta=90.00 gamma=90.00
Fractional coordinates of all 12 atoms:
Ir: 0.750 0.349 0.433
Ir: 0.250 0.151 0.933
Ir: 0.750 0.849 0.067
Zr: 0.250 0.017 0.317
Zr: 0.750 0.983 0.683
Zr: 0.750 0.483 0.817
Si: 0.250 0.279 0.617
Si: 0.750 0.721 0.383
Si: 0.750 0.221 0.117
Ir: 0.250 0.651 0.567
Zr: 0.250 0.517 0.183
Si: 0.250 0.779 0.883


# 6
A plane-wave DFT calculation with r2SCAN was carried out for a relaxed Sm5Ir2 crystal.

Unit cell a=6.643 b=7.222 c=8.794 alpha=96.06 beta=112.19 gamma=90.00
Fractional coordinates of all 14 atoms:
Sm: 0.652 0.818 0.437
Sm: 0.433 0.750 0.000
Sm: 0.023 0.082 0.815
Sm: 0.785 0.318 0.437
Sm: 0.348 0.182 0.563
Sm: 0.208 0.418 0.185
Ir: 0.825 0.573 0.222
Sm: 0.792 0.582 0.815
Ir: 0.604 0.927 0.778
Ir: 0.396 0.073 0.222
Sm: 0.215 0.682 0.563
Sm: 0.567 0.250 0.000
Ir: 0.175 0.427 0.778
Sm: 0.977 0.918 0.185


Number 1: energy relative to the elements -693 meV per atom, total magnetic moment 2.7 μB per formula unit. Number 2: energy relative to the elements -976 meV per atom, total magnetic moment 2.4 μB per formula unit. Number 3: energy relative to the elements -831 meV per atom, total magnetic moment 0.0 μB per formula unit. Number 4: energy relative to the elements -1059 meV per atom, total magnetic moment 0.0 μB per formula unit. Number 5: energy relative to the elements -1218 meV per atom, total magnetic moment 0.0 μB per formula unit. Number 6: energy relative to the elements -648 meV per atom, total magnetic moment 0.0 μB per formula unit.